Version a
{"formula": "V3O5F", "functional": "PBE+U", "state": "relaxed", "sg": "P1", "cell": [[-4.079, -0.906, -2.132], [2.511, -3.862, -3.101], [-1.881, -4.594, 5.628]], "species": ["V", "V", "O", "O", "O", "O", "V", "V", "O", "O", "V", "O", "O", "O", "F", "F", "O", "V"], "frac_coords": [[0.008, 0.319, 0.327], [0.502, 0.167, 0.663], [0.798, 0.959, 0.758], [0.205, 0.692, 0.899], [0.697, 0.118, 0.420], [0.179, 0.373, 0.557], [0.007, 0.674, 0.686], [0.497, 0.483, 0.995], [0.700, 0.476, 0.781], [0.809, 0.308, 0.110], [0.468, 0.848, 0.345], [0.289, 0.861, 0.565], [0.304, 0.201, 0.901], [0.319, 0.542, 0.230], [0.703, 0.802, 0.103], [0.795, 0.634, 0.435], [0.201, 0.035, 0.235], [0.017, 0.008, 0.991]]}

---

Version b
{"formula": "V3O5F", "functional": "PBE+U", "state": "relaxed", "sg": "C2/m", "cell": [[3.218, 3.365, 0.000], [-3.218, 3.365, 0.000], [0.000, 0.040, 8.986]], "species": ["F", "O", "O", "V", "V", "O", "V", "O", "O", "O", "V", "F", "O", "O", "O", "V", "V", "O"], "frac_coords": [[0.199, 0.199, 0.672], [0.308, 0.692, 0.500], [0.806, 0.806, 0.672], [0.990, 0.990, 0.849], [0.460, 0.460, 0.333], [0.206, 0.206, 0.002], [0.500, 0.500, 0.000], [0.301, 0.692, 0.167], [0.194, 0.194, 0.328], [0.308, 0.699, 0.833], [0.010, 0.010, 0.151], [0.801, 0.801, 0.328], [0.794, 0.794, 0.998], [0.699, 0.308, 0.833], [0.692, 0.301, 0.167], [0.540, 0.540, 0.667], [0.000, 0.000, 0.500], [0.692, 0.308, 0.500]]}

---

Version c
{"formula": "V3O5F", "functional": "PBE+U", "state": "relaxed", "sg": "Pmn2_1", "cell": [[-0.520, 3.505, -2.956], [0.570, -2.906, -3.547], [-8.625, -1.448, -0.199]], "species": ["O", "V", "O", "V", "O", "O", "O", "V", "O", "F", "O", "O", "O", "V", "O", "V", "V", "F"], "frac_coords": [[0.449, 0.700, 0.165], [0.757, 0.982, 0.819], [0.047, 0.297, 0.835], [0.774, 0.033, 0.500], [0.938, 0.811, 0.000], [0.551, 0.200, 0.665], [0.953, 0.797, 0.665], [0.243, 0.482, 0.681], [0.953, 0.797, 0.335], [0.450, 0.700, 0.500], [0.449, 0.700, 0.835], [0.047, 0.297, 0.165], [0.062, 0.311, 0.500], [0.243, 0.482, 0.319], [0.551, 0.200, 0.335], [0.757, 0.982, 0.181], [0.226, 0.533, 0.000], [0.550, 0.200, 0.000]]}

---

What should be chosen as the least stable of them? Choose version c.

---

Version a
{"formula": "MgMnNbO4", "functional": "PBE+U", "state": "relaxed", "sg": "Imm2", "cell": [[5.587, 0.014, 0.002], [2.458, 5.018, -0.002], [-4.022, -2.517, 2.951]], "species": ["O", "O", "Nb", "Mn", "Mg", "O", "O"], "frac_coords": [[0.487, 0.987, 0.500], [0.776, 0.776, 0.000], [0.000, 0.000, 0.000], [0.749, 0.249, 0.500], [0.250, 0.750, 0.500], [0.225, 0.225, 0.000], [0.013, 0.513, 0.500]]}

---

Version b
{"formula": "MgMnNbO4", "functional": "PBE+U", "state": "relaxed", "sg": "Cm", "cell": [[-4.611, -2.507, 2.444], [-3.194, -3.772, -3.039], [5.633, 0.931, 1.035]], "species": ["Mg", "O", "Mn", "O", "Nb", "O", "O"], "frac_coords": [[0.185, 0.712, 0.474], [0.981, 0.503, 0.478], [0.766, 0.290, 0.477], [0.428, 0.952, 0.476], [0.962, 0.986, 0.977], [0.168, 0.194, 0.975], [0.739, 0.765, 0.974]]}

---

What should be chosen as the least stable of them? Choose version a.